Material: W2C3N6
Method: DFT, PBE
State: relaxed

Computed properties:
Energy ... -9.248 eV per atom
Total moment ... 0.00 μB/f.u.
ΔH_f (0 K) ... -0.03 eV/atom

Geometry as POSCAR:
```
W2C3N6
1.0
2.542 1.467 10.316
-2.542 1.467 10.316
0.000 -2.935 10.316
W C N
4 6 12
Cartesian
0.000 0.000 5.153 W
0.000 0.000 10.322 W
0.000 0.000 20.627 W
0.000 0.000 25.797 W
-1.692 0.005 12.896 C
-0.850 -1.462 18.054 C
0.841 -1.467 12.896 C
-0.841 1.467 18.054 C
0.850 1.462 12.896 C
1.692 -0.005 18.054 C
-1.634 -0.055 11.666 N
-1.772 0.025 14.126 N
-0.908 -1.522 16.824 N
-0.770 -1.442 19.284 N
0.864 -1.388 11.666 N
0.864 -1.547 14.126 N
-0.864 1.547 16.824 N
-0.864 1.388 19.284 N
0.770 1.442 11.666 N
0.908 1.522 14.126 N
1.772 -0.025 16.824 N
1.634 0.055 19.284 N
```

Material: Sb2Cl5F4
Method: DFT, PBE
State: relaxed

Computed properties:
Energy ... -3.697 eV per atom
ΔH_f (0 K) ... -1.58 eV/atom

Geometry as POSCAR:
```
Sb2Cl5F4
1.0
9.437 -6.411 0.000
9.437 6.411 0.000
-2.353 0.000 18.691
Sb Cl F
16 40 32
Cartesian
6.817 3.698 4.302 Sb
7.729 3.384 10.590 Sb
7.614 3.384 17.447 Sb
4.979 0.451 9.663 Sb
10.880 3.698 5.043 Sb
6.156 -0.451 0.317 Sb
7.796 0.351 6.392 Sb
6.619 -0.351 15.738 Sb
9.901 0.351 2.953 Sb
8.725 -0.351 12.299 Sb
10.364 0.451 18.374 Sb
5.640 -3.698 13.648 Sb
11.541 -0.451 9.028 Sb
8.906 -3.384 1.244 Sb
8.791 -3.384 8.102 Sb
9.703 -3.698 14.389 Sb
6.906 5.059 9.216 Cl
4.637 2.932 3.975 Cl
7.247 4.383 2.111 Cl
5.528 4.259 16.882 Cl
0.719 0.571 13.552 Cl
6.581 3.979 12.527 Cl
3.949 1.717 7.992 Cl
2.985 1.642 18.435 Cl
1.896 -0.571 4.207 Cl
10.791 5.059 0.129 Cl
3.464 1.000 11.354 Cl
8.763 3.979 15.510 Cl
10.450 4.383 7.235 Cl
9.816 4.259 11.155 Cl
4.670 0.499 14.795 Cl
4.640 -1.000 2.008 Cl
5.847 -0.499 5.449 Cl
2.772 -1.717 17.337 Cl
4.161 -1.642 9.089 Cl
13.060 2.932 5.371 Cl
3.460 -2.932 13.320 Cl
12.359 1.642 9.602 Cl
13.748 1.717 1.354 Cl
10.673 0.499 13.242 Cl
11.880 1.000 16.683 Cl
11.850 -0.499 3.897 Cl
6.704 -4.259 7.536 Cl
6.070 -4.383 11.456 Cl
7.757 -3.979 3.181 Cl
13.057 -1.000 7.338 Cl
5.730 -5.059 18.562 Cl
14.624 0.571 14.485 Cl
13.536 -1.642 0.257 Cl
12.571 -1.717 10.700 Cl
9.940 -3.979 6.164 Cl
15.801 -0.571 5.139 Cl
10.993 -4.259 1.809 Cl
9.274 -4.383 16.581 Cl
11.884 -2.932 14.717 Cl
9.614 -5.059 9.475 Cl
6.892 2.990 6.128 F
8.848 4.182 4.673 F
6.002 2.261 10.164 F
7.596 1.937 3.941 F
9.263 2.370 0.202 F
8.434 2.370 9.144 F
7.093 1.628 16.377 F
10.805 2.990 3.218 F
7.392 0.243 1.630 F
6.560 0.249 8.434 F
8.250 1.628 11.660 F
10.101 1.937 5.405 F
6.216 -0.243 10.975 F
5.383 -0.249 17.779 F
9.342 2.261 17.873 F
7.672 0.387 14.018 F
8.848 -0.387 4.673 F
7.179 -2.261 0.819 F
11.137 0.249 0.912 F
10.305 0.243 7.716 F
6.419 -1.937 13.286 F
8.270 -1.628 7.031 F
9.961 -0.249 10.257 F
9.128 -0.243 17.062 F
5.715 -2.990 15.474 F
9.427 -1.628 2.314 F
8.086 -2.370 9.548 F
7.257 -2.370 18.489 F
8.925 -1.937 14.751 F
10.518 -2.261 8.527 F
7.672 -4.182 14.018 F
9.628 -2.990 12.563 F
```

Copy entry 2 word for word.
Material: Sb2Cl5F4
Method: DFT, PBE
State: relaxed

Computed properties:
Energy ... -3.697 eV per atom
ΔH_f (0 K) ... -1.58 eV/atom

Geometry as POSCAR:
```
Sb2Cl5F4
1.0
9.437 -6.411 0.000
9.437 6.411 0.000
-2.353 0.000 18.691
Sb Cl F
16 40 32
Cartesian
6.817 3.698 4.302 Sb
7.729 3.384 10.590 Sb
7.614 3.384 17.447 Sb
4.979 0.451 9.663 Sb
10.880 3.698 5.043 Sb
6.156 -0.451 0.317 Sb
7.796 0.351 6.392 Sb
6.619 -0.351 15.738 Sb
9.901 0.351 2.953 Sb
8.725 -0.351 12.299 Sb
10.364 0.451 18.374 Sb
5.640 -3.698 13.648 Sb
11.541 -0.451 9.028 Sb
8.906 -3.384 1.244 Sb
8.791 -3.384 8.102 Sb
9.703 -3.698 14.389 Sb
6.906 5.059 9.216 Cl
4.637 2.932 3.975 Cl
7.247 4.383 2.111 Cl
5.528 4.259 16.882 Cl
0.719 0.571 13.552 Cl
6.581 3.979 12.527 Cl
3.949 1.717 7.992 Cl
2.985 1.642 18.435 Cl
1.896 -0.571 4.207 Cl
10.791 5.059 0.129 Cl
3.464 1.000 11.354 Cl
8.763 3.979 15.510 Cl
10.450 4.383 7.235 Cl
9.816 4.259 11.155 Cl
4.670 0.499 14.795 Cl
4.640 -1.000 2.008 Cl
5.847 -0.499 5.449 Cl
2.772 -1.717 17.337 Cl
4.161 -1.642 9.089 Cl
13.060 2.932 5.371 Cl
3.460 -2.932 13.320 Cl
12.359 1.642 9.602 Cl
13.748 1.717 1.354 Cl
10.673 0.499 13.242 Cl
11.880 1.000 16.683 Cl
11.850 -0.499 3.897 Cl
6.704 -4.259 7.536 Cl
6.070 -4.383 11.456 Cl
7.757 -3.979 3.181 Cl
13.057 -1.000 7.338 Cl
5.730 -5.059 18.562 Cl
14.624 0.571 14.485 Cl
13.536 -1.642 0.257 Cl
12.571 -1.717 10.700 Cl
9.940 -3.979 6.164 Cl
15.801 -0.571 5.139 Cl
10.993 -4.259 1.809 Cl
9.274 -4.383 16.581 Cl
11.884 -2.932 14.717 Cl
9.614 -5.059 9.475 Cl
6.892 2.990 6.128 F
8.848 4.182 4.673 F
6.002 2.261 10.164 F
7.596 1.937 3.941 F
9.263 2.370 0.202 F
8.434 2.370 9.144 F
7.093 1.628 16.377 F
10.805 2.990 3.218 F
7.392 0.243 1.630 F
6.560 0.249 8.434 F
8.250 1.628 11.660 F
10.101 1.937 5.405 F
6.216 -0.243 10.975 F
5.383 -0.249 17.779 F
9.342 2.261 17.873 F
7.672 0.387 14.018 F
8.848 -0.387 4.673 F
7.179 -2.261 0.819 F
11.137 0.249 0.912 F
10.305 0.243 7.716 F
6.419 -1.937 13.286 F
8.270 -1.628 7.031 F
9.961 -0.249 10.257 F
9.128 -0.243 17.062 F
5.715 -2.990 15.474 F
9.427 -1.628 2.314 F
8.086 -2.370 9.548 F
7.257 -2.370 18.489 F
8.925 -1.937 14.751 F
10.518 -2.261 8.527 F
7.672 -4.182 14.018 F
9.628 -2.990 12.563 F
```

- Look up the energy of the second one.
  -3.697 eV per atom